# 1
# Sr7CoN6 (PBE, relaxed)
# corrected total energy (MP2020 scheme): -308.706 eV per cell
# energy relative to the elements: -0.587 eV per atom
# total moment: 0.00 μB/f.u.
# electronic total energy: -5.358 eV/atom
data_Sr7CoN6
_space_group_name_H-M_alt 'P b c n'
_space_group_IT_number 60
_cell_length_a 11.7946
_cell_length_b 6.6813
_cell_length_c 13.7354
_cell_angle_alpha 90.00
_cell_angle_beta 90.00
_cell_angle_gamma 90.00
loop_
_space_group_symop_operation_xyz
'x,y,z'
'-x,-y,-z'
'-x+1/2,-y+1/2,z+1/2'
'x+1/2,y+1/2,-z+1/2'
'x+1/2,-y+1/2,-z'
'-x+1/2,y+1/2,z'
'-x,y,-z+1/2'
'x,-y,z+1/2'
loop_
_atom_site_label
_atom_site_fract_x
_atom_site_fract_y
_atom_site_fract_z
Sr1 0.0000 0.0598 0.2500
Sr2 0.0394 0.2355 0.5214
Sr3 0.2043 0.3859 0.1293
Sr4 0.2179 0.3617 0.8769
Co1 0.0000 0.4283 0.7500
N1 0.0392 0.4113 0.3532
N2 0.1205 0.2676 0.7112
N3 0.1659 0.0915 0.0011

# 2
# Sr3Co2N4 (PBE, relaxed)
# corrected total energy (MP2020 scheme): -228.041 eV per cell
# energy relative to the elements: -0.487 eV per atom
# energy above the most stable polymorph in this dataset: 0.0 meV/atom
# total moment: 1.69 μB/f.u.
# electronic total energy: -6.174 eV/atom
data_Sr3Co2N4
_space_group_name_H-M_alt 'P n n a'
_space_group_IT_number 52
_cell_length_a 5.8792
_cell_length_b 9.7436
_cell_length_c 9.4229
_cell_angle_alpha 90.00
_cell_angle_beta 90.00
_cell_angle_gamma 90.00
loop_
_space_group_symop_operation_xyz
'x,y,z'
'-x,-y,-z'
'-x+1/2,-y,z'
'x+1/2,y,-z'
'x,-y+1/2,-z+1/2'
'-x,y+1/2,z+1/2'
'-x+1/2,y+1/2,-z+1/2'
'x+1/2,-y+1/2,z+1/2'
loop_
_atom_site_label
_atom_site_fract_x
_atom_site_fract_y
_atom_site_fract_z
Sr1 0.1053 0.1560 0.0826
Sr2 0.2500 0.0000 0.4005
Co1 0.1500 0.2500 0.7500
Co2 0.2500 0.0000 0.7328
N1 0.0036 0.0932 0.8274
N2 0.1467 0.6473 0.8721